# Na3Mg2Ga2PS5O24

Crystalline Na3Mg2Ga2PS5O24 at its relaxed geometry (GGA-PBE, Materials Project).

crystal system: triclinic
formation energy from the elements: -2.255 eV/atom

Unit cell a=8.642 b=8.622 c=22.266 alpha=89.92 beta=90.08 gamma=119.94
Sites, in units of the cell vectors:
1 O 0.117 0.479 0.862
2 O 0.473 0.311 0.745
3 O 0.699 0.541 0.529
4 O 0.647 0.502 0.923
5 O 0.813 0.982 0.410
6 O 0.016 0.830 0.409
7 O 0.870 0.505 0.141
8 O 0.114 0.636 0.362
9 O 0.790 0.975 0.691
10 O 0.509 0.863 0.077
11 O 0.827 0.028 0.090
12 O 0.170 0.188 0.410
13 O 0.190 0.026 0.589
14 O 0.520 0.881 0.364
15 O 0.822 0.789 0.304
16 O 0.155 0.685 0.758
17 O 0.362 0.889 0.861
18 O 0.217 0.036 0.305
19 O 0.493 0.124 0.641
20 O 0.832 0.305 0.245
21 O 0.477 0.168 0.244
22 O 0.966 0.785 0.806
23 O 0.304 0.450 0.471
24 O 0.185 0.211 0.696
25 O 0.529 0.688 0.257
26 O 0.853 0.504 0.424
27 O 0.506 0.637 0.577
28 O 0.812 0.828 0.911
29 O 0.520 0.639 0.864
30 O 0.831 0.526 0.743
31 O 0.023 0.207 0.196
32 O 0.557 0.859 0.472
33 O 0.855 0.348 0.922
34 O 0.694 0.154 0.029
35 O 0.031 0.819 0.697
36 O 0.199 0.174 0.090
37 O 0.143 0.696 0.470
38 O 0.496 0.352 0.422
39 O 0.361 0.479 0.362
40 O 0.786 0.812 0.195
41 O 0.457 0.299 0.028
42 O 0.967 0.179 0.305
43 O 0.519 0.840 0.756
44 O 0.653 0.146 0.422
45 O 0.826 0.035 0.805
46 O 0.309 0.470 0.758
47 O 0.365 0.861 0.577
48 O 0.640 0.510 0.638
49 O 0.690 0.525 0.245
50 O 0.145 0.448 0.970
51 O 0.496 0.148 0.923
52 O 0.137 0.495 0.576
53 O 0.020 0.188 0.910
54 O 0.215 0.175 0.804
55 O 0.141 0.639 0.078
56 O 0.969 0.806 0.089
57 O 0.843 0.303 0.529
58 O 0.186 0.976 0.196
59 O 0.492 0.365 0.138
60 O 0.305 0.855 0.969
61 O 0.170 0.985 0.909
62 O 0.688 0.173 0.745
63 O 0.632 0.123 0.138
64 O 0.315 0.844 0.257
65 O 0.880 0.370 0.638
66 O 0.553 0.694 0.973
67 O 0.156 0.469 0.257
68 O 0.824 0.801 0.588
69 O 0.969 0.172 0.589
70 O 0.833 0.539 0.028
71 O 0.465 0.162 0.527
72 O 0.367 0.497 0.077
73 S 0.998 0.290 0.250
74 S 0.377 0.330 0.083
75 S 0.038 0.370 0.916
76 S 0.630 0.666 0.918
77 S 0.667 0.619 0.583
78 S 0.707 0.707 0.249
79 S 0.035 0.666 0.416
80 S 0.666 0.046 0.083
81 S 0.333 0.372 0.416
82 S 0.296 0.003 0.250
83 S 0.291 0.294 0.750
84 S 0.994 0.705 0.750
85 S 0.632 0.963 0.417
86 S 0.333 0.966 0.916
87 S 0.959 0.338 0.583
88 Ga 0.002 0.001 0.350
89 Ga 0.991 0.002 0.849
90 Ga 0.669 0.325 0.684
91 Ga 0.676 0.338 0.185
92 Ga 0.657 0.329 0.482
93 Ga 0.674 0.340 0.983
94 Na 0.667 0.333 0.333
95 Na 0.016 0.002 0.500
96 Na 0.676 0.338 0.834
97 Na 0.670 0.699 0.082
98 Na 0.316 0.664 0.167
99 Na 0.367 0.998 0.750
100 Na 0.009 0.002 0.000
101 Na 0.330 0.660 0.667
102 Na 0.664 0.966 0.586
103 P 0.958 0.622 0.084
104 P 0.709 0.001 0.748
105 P 0.373 0.043 0.583
106 Mg 0.328 0.668 0.517
107 Mg 0.004 0.000 0.648
108 Mg 0.006 0.000 0.148
109 Mg 0.321 0.665 0.018
110 Mg 0.332 0.666 0.316
111 Mg 0.338 0.667 0.816

---

# Na3Mg3GaS6O24

Crystalline Na3Mg3GaS6O24 at its relaxed geometry (GGA-PBE, Materials Project).

crystal system: triclinic
formation energy from the elements: -2.248 eV/atom

Unit cell a=8.650 b=8.654 c=22.355 alpha=90.02 beta=89.98 gamma=120.11
Sites, in units of the cell vectors:
1 O 0.307 0.457 0.470
2 O 0.702 0.544 0.528
3 O 0.781 0.965 0.697
4 O 0.471 0.315 0.744
5 O 0.310 0.477 0.758
6 O 0.637 0.512 0.636
7 O 0.975 0.172 0.589
8 O 0.211 0.185 0.804
9 O 0.543 0.693 0.971
10 O 0.803 0.824 0.910
11 O 0.815 0.026 0.804
12 O 0.829 0.801 0.588
13 O 0.033 0.212 0.197
14 O 0.843 0.528 0.744
15 O 0.506 0.642 0.575
16 O 0.879 0.515 0.137
17 O 0.644 0.144 0.424
18 O 0.184 0.219 0.697
19 O 0.505 0.864 0.076
20 O 0.974 0.791 0.803
21 O 0.818 0.789 0.304
22 O 0.116 0.633 0.365
23 O 0.354 0.862 0.576
24 O 0.199 0.173 0.089
25 O 0.315 0.841 0.257
26 O 0.151 0.457 0.971
27 O 0.521 0.887 0.362
28 O 0.034 0.813 0.695
29 O 0.845 0.302 0.528
30 O 0.307 0.850 0.971
31 O 0.684 0.525 0.244
32 O 0.500 0.357 0.424
33 O 0.488 0.125 0.636
34 O 0.856 0.500 0.424
35 O 0.827 0.026 0.089
36 O 0.182 0.971 0.196
37 O 0.359 0.495 0.076
38 O 0.500 0.141 0.924
39 O 0.967 0.179 0.304
40 O 0.367 0.479 0.362
41 O 0.482 0.362 0.139
42 O 0.637 0.119 0.139
43 O 0.974 0.801 0.089
44 O 0.543 0.851 0.470
45 O 0.512 0.631 0.863
46 O 0.806 0.982 0.410
47 O 0.120 0.488 0.862
48 O 0.876 0.366 0.635
49 O 0.685 0.156 0.744
50 O 0.641 0.501 0.923
51 O 0.195 0.021 0.588
52 O 0.456 0.154 0.528
53 O 0.527 0.688 0.257
54 O 0.136 0.641 0.076
55 O 0.134 0.495 0.575
56 O 0.522 0.833 0.758
57 O 0.167 0.690 0.757
58 O 0.368 0.881 0.863
59 O 0.788 0.821 0.197
60 O 0.838 0.308 0.243
61 O 0.212 0.032 0.303
62 O 0.176 0.194 0.410
63 O 0.460 0.303 0.030
64 O 0.697 0.157 0.030
65 O 0.019 0.824 0.411
66 O 0.021 0.198 0.910
67 O 0.176 0.979 0.910
68 O 0.473 0.160 0.244
69 O 0.145 0.692 0.473
70 O 0.163 0.471 0.257
71 O 0.860 0.359 0.923
72 O 0.844 0.542 0.028
73 Na 0.674 0.340 0.336
74 Na 0.000 0.999 0.999
75 Na 0.635 0.999 0.249
76 Na 0.032 0.699 0.585
77 Na 0.326 0.666 0.162
78 Na 0.666 0.333 0.832
79 Na 0.999 0.006 0.499
80 Na 0.340 0.666 0.669
81 Na 0.365 0.364 0.249
82 S 0.705 0.998 0.751
83 S 0.624 0.666 0.918
84 S 0.002 0.707 0.751
85 S 0.666 0.042 0.083
86 S 0.664 0.622 0.583
87 S 0.711 0.708 0.250
88 S 0.336 0.373 0.417
89 S 0.037 0.664 0.418
90 S 0.376 0.334 0.083
91 S 0.335 0.958 0.917
92 S 0.955 0.331 0.583
93 S 0.958 0.624 0.082
94 S 0.289 0.997 0.250
95 S 0.042 0.376 0.917
96 S 0.000 0.292 0.250
97 S 0.378 0.044 0.583
98 S 0.627 0.963 0.417
99 S 0.293 0.295 0.751
100 Mg 0.333 0.667 0.018
101 Mg 0.000 0.998 0.144
102 Mg 0.338 0.666 0.517
103 Mg 0.000 0.001 0.851
104 Mg 0.673 0.339 0.180
105 Mg 0.664 0.331 0.688
106 Mg 0.327 0.666 0.320
107 Mg 0.999 0.007 0.653
108 Mg 0.000 0.998 0.354
109 Ga 0.335 0.667 0.816
110 Ga 0.668 0.335 0.982
111 Ga 0.665 0.331 0.484

---

# Na4Mg2Ga2SiS5O24

Crystalline Na4Mg2Ga2SiS5O24 at its relaxed geometry (GGA-PBE, Materials Project).

crystal system: triclinic
formation energy from the elements: -2.259 eV/atom

Unit cell a=8.750 b=8.702 c=22.237 alpha=90.47 beta=89.54 gamma=119.62
Sites, in units of the cell vectors:
1 O 0.833 0.531 0.743
2 O 0.143 0.493 0.576
3 O 0.803 0.974 0.411
4 O 0.694 0.542 0.530
5 O 0.032 0.193 0.912
6 O 0.892 0.373 0.640
7 O 0.493 0.361 0.421
8 O 0.643 0.507 0.922
9 O 0.478 0.361 0.137
10 O 0.217 0.028 0.308
11 O 0.353 0.485 0.364
12 O 0.178 0.972 0.199
13 O 0.522 0.648 0.864
14 O 0.983 0.833 0.092
15 O 0.805 0.977 0.685
16 O 0.865 0.350 0.921
17 O 0.354 0.838 0.577
18 O 0.488 0.113 0.642
19 O 0.443 0.144 0.521
20 O 0.189 0.181 0.091
21 O 0.644 0.516 0.639
22 O 0.836 0.552 0.029
23 O 0.850 0.312 0.531
24 O 0.504 0.639 0.579
25 O 0.786 0.815 0.194
26 O 0.631 0.112 0.137
27 O 0.445 0.296 0.029
28 O 0.511 0.872 0.366
29 O 0.473 0.315 0.743
30 O 0.974 0.174 0.588
31 O 0.697 0.185 0.743
32 O 0.025 0.203 0.195
33 O 0.864 0.507 0.424
34 O 0.155 0.468 0.254
35 O 0.026 0.829 0.412
36 O 0.119 0.640 0.361
37 O 0.690 0.143 0.029
38 O 0.307 0.838 0.256
39 O 0.530 0.692 0.256
40 O 0.156 0.458 0.968
41 O 0.516 0.852 0.076
42 O 0.514 0.834 0.752
43 O 0.364 0.501 0.076
44 O 0.819 0.803 0.588
45 O 0.164 0.979 0.909
46 O 0.544 0.695 0.973
47 O 0.979 0.184 0.304
48 O 0.829 0.022 0.090
49 O 0.155 0.697 0.469
50 O 0.471 0.160 0.244
51 O 0.485 0.139 0.922
52 O 0.165 0.013 0.593
53 O 0.549 0.852 0.474
54 O 0.147 0.678 0.757
55 O 0.302 0.464 0.758
56 O 0.846 0.048 0.804
57 O 0.165 0.654 0.077
58 O 0.301 0.851 0.968
59 O 0.218 0.174 0.804
60 O 0.177 0.199 0.414
61 O 0.308 0.464 0.473
62 O 0.123 0.474 0.859
63 O 0.183 0.212 0.696
64 O 0.969 0.789 0.806
65 O 0.645 0.136 0.422
66 O 0.687 0.529 0.245
67 O 0.820 0.793 0.303
68 O 0.893 0.527 0.148
69 O 0.839 0.306 0.246
70 O 0.806 0.829 0.913
71 O 0.037 0.821 0.697
72 O 0.352 0.883 0.859
73 Na 0.346 0.673 0.667
74 Na 0.011 0.002 0.502
75 Na 0.375 0.997 0.750
76 Na 0.997 0.632 0.241
77 Na 0.336 0.036 0.421
78 Na 0.660 0.971 0.588
79 Na 0.667 0.335 0.839
80 Na 0.667 0.334 0.331
81 Na 0.677 0.689 0.079
82 Na 0.994 0.357 0.755
83 Na 0.009 0.997 0.002
84 Na 0.323 0.663 0.162
85 S 0.666 0.039 0.083
86 S 0.297 0.005 0.252
87 S 0.371 0.332 0.083
88 S 0.705 0.708 0.250
89 S 0.038 0.663 0.416
90 S 0.293 0.291 0.751
91 S 0.964 0.339 0.582
92 S 0.043 0.373 0.915
93 S 0.993 0.706 0.751
94 S 0.329 0.964 0.914
95 S 0.666 0.620 0.584
96 S 0.334 0.381 0.417
97 S 0.998 0.287 0.250
98 S 0.628 0.957 0.417
99 S 0.625 0.666 0.918
100 Mg 0.659 0.330 0.484
101 Mg 0.673 0.335 0.180
102 Mg 0.337 0.664 0.314
103 Mg 0.676 0.343 0.985
104 Mg 0.995 0.002 0.351
105 Mg 0.350 0.676 0.816
106 Si 0.360 0.034 0.581
107 Si 0.712 0.998 0.747
108 Si 0.967 0.631 0.085
109 Ga 0.982 0.999 0.854
110 Ga 0.002 0.993 0.649
111 Ga 0.328 0.672 0.518
112 Ga 0.008 0.001 0.147
113 Ga 0.658 0.311 0.681
114 Ga 0.316 0.668 0.018